one | Computed, not measured: crystalline Li3Fe2P3O12 at its relaxed geometry at the PBE+U level of DFT.

Summary:
spin magnetization: 10.0 μB per formula unit
ρ: 3.08 g cm⁻³

Lattice parameters (Å, degrees): 8.5032 8.7561 14.7200 90.00 124.76 90.00
Closest atoms and distances in Å follow each position.
Fractional positions:
1 Li 0.0039 0.2194 0.3217  4 O 2.00-2.09
2 Li 0.0039 0.2806 0.8217  4 O 2.00-2.09
3 Li 0.2793 0.5104 0.8443  4 O 1.98-2.06
4 Li 0.2793 0.9896 0.3443  4 O 1.98-2.06
5 Li 0.3904 0.5848 0.3091  4 O 1.95-2.05
6 Li 0.3904 0.9152 0.8091  4 O 1.95-2.05
7 Li 0.6096 0.0848 0.1909  4 O 1.95-2.05
8 Li 0.6096 0.4152 0.6909  4 O 1.95-2.05
9 Li 0.7207 0.0104 0.6557  4 O 1.98-2.06
10 Li 0.7207 0.4896 0.1557  4 O 1.98-2.06
11 Li 0.9961 0.7194 0.1783  4 O 2.00-2.09
12 Li 0.9961 0.7806 0.6783  4 O 2.00-2.09
13 Fe 0.1375 0.5371 0.3937  6 O 1.90-2.10
14 Fe 0.1375 0.9629 0.8937  6 O 1.90-2.10
15 Fe 0.3456 0.5250 0.1035  6 O 1.99-2.14
16 Fe 0.3456 0.9750 0.6035  6 O 1.99-2.14
17 Fe 0.6544 0.0250 0.3965  6 O 1.99-2.14
18 Fe 0.6544 0.4750 0.8965  6 O 1.99-2.14
19 Fe 0.8625 0.0371 0.1063  6 O 1.90-2.10
20 Fe 0.8625 0.4629 0.6063  6 O 1.90-2.10
21 P 0.0340 0.1093 0.6484  4 O 1.53-1.57
22 P 0.0340 0.3907 0.1484  4 O 1.53-1.57
23 P 0.2641 0.6197 0.6517  4 O 1.53-1.58
24 P 0.2641 0.8803 0.1517  4 O 1.53-1.58
25 P 0.4512 0.2493 0.9916  4 O 1.54-1.56
26 P 0.4512 0.2507 0.4916  4 O 1.54-1.56
27 P 0.5488 0.7493 0.5084  4 O 1.54-1.56
28 P 0.5488 0.7507 0.0084  4 O 1.54-1.56
29 P 0.7359 0.1197 0.8483  4 O 1.53-1.58
30 P 0.7359 0.3803 0.3483  4 O 1.53-1.58
31 P 0.9660 0.6093 0.8516  4 O 1.53-1.57
32 P 0.9660 0.8907 0.3516  4 O 1.53-1.57
33 O 0.0160 0.2313 0.1877  1 P 1.55
34 O 0.0160 0.2687 0.6877  1 P 1.55
35 O 0.1200 0.5069 0.2470  1 P 1.57
36 O 0.1200 0.9931 0.7470  1 P 1.57
37 O 0.1246 0.5786 0.6864  1 P 1.58
38 O 0.1246 0.9214 0.1864  1 P 1.58
39 O 0.1563 0.1097 0.6026  1 P 1.53
40 O 0.1563 0.3903 0.1026  1 P 1.53
41 O 0.1685 0.5838 0.5295  1 P 1.53
42 O 0.1685 0.9162 0.0295  1 P 1.53
43 O 0.1729 0.5473 0.9375  1 P 1.57
44 O 0.1729 0.9527 0.4375  1 P 1.57
45 O 0.2498 0.1775 0.9364  1 P 1.55
46 O 0.2498 0.3225 0.4364  1 P 1.55
47 O 0.2916 0.7038 0.1693  1 P 1.56
48 O 0.2916 0.7962 0.6693  1 P 1.56
49 O 0.3914 0.6274 0.4433  1 P 1.54
50 O 0.3914 0.8726 0.9433  1 P 1.54
51 O 0.4518 0.5285 0.7252  1 P 1.54
52 O 0.4518 0.9715 0.2252  1 P 1.54
53 O 0.4587 0.1672 0.4016  1 P 1.55
54 O 0.4587 0.3328 0.9016  1 P 1.55
55 O 0.4865 0.1378 0.5832  1 P 1.56
56 O 0.4865 0.3622 0.0832  1 P 1.56
57 O 0.5135 0.6378 0.9168  1 P 1.56
58 O 0.5135 0.8622 0.4168  1 P 1.56
59 O 0.5413 0.6672 0.0984  1 P 1.55
60 O 0.5413 0.8328 0.5984  1 P 1.55
61 O 0.5482 0.0285 0.7748  1 P 1.54
62 O 0.5482 0.4715 0.2748  1 P 1.54
63 O 0.6086 0.1274 0.0567  1 P 1.54
64 O 0.6086 0.3726 0.5567  1 P 1.54
65 O 0.7084 0.2038 0.3307  1 P 1.56
66 O 0.7084 0.2962 0.8307  1 P 1.56
67 O 0.7502 0.6775 0.5636  1 P 1.55
68 O 0.7502 0.8225 0.0636  1 P 1.55
69 O 0.8271 0.0473 0.5625  1 P 1.57
70 O 0.8271 0.4527 0.0625  1 P 1.57
71 O 0.8315 0.0838 0.9705  1 P 1.53
72 O 0.8315 0.4162 0.4705  1 P 1.53
73 O 0.8437 0.6097 0.8974  1 P 1.53
74 O 0.8437 0.8903 0.3974  1 P 1.53
75 O 0.8754 0.0786 0.8136  1 P 1.58
76 O 0.8754 0.4214 0.3136  1 P 1.58
77 O 0.8800 0.0069 0.2530  1 P 1.57
78 O 0.8800 0.4931 0.7530  1 P 1.57
79 O 0.9840 0.7313 0.3123  1 P 1.55
80 O 0.9840 0.7687 0.8123  1 P 1.55

two | Computed, not measured: crystalline Li3Fe2P3O12 at its relaxed geometry at the PBE+U level of DFT.

Summary:
spin magnetization: 10.0 μB per formula unit
ρ: 2.98 g cm⁻³

Lattice parameters (Å, degrees): 9.7820 9.7820 9.7808 93.45 93.45 86.45
Closest atoms and distances in Å follow each position.
Fractional positions:
1 Li 0.0826 0.6481 0.3993  2 O 1.91-2.00
2 Li 0.0906 0.3927 0.2568  3 O 2.05-2.16
3 Li 0.1226 0.1226 0.0971  1 O 1.89
4 Li 0.2984 0.3932 0.5293  2 O 1.95-2.08
5 Li 0.3519 0.9174 0.6007  2 O 1.91-2.00
6 Li 0.3909 0.2202 0.2672  1 O 1.92
7 Li 0.6068 0.7016 0.4707  2 O 1.95-2.08
8 Li 0.6073 0.9094 0.7432  3 O 2.05-2.16
9 Li 0.6231 0.0399 0.0074  1 O 1.92
10 Li 0.7798 0.6091 0.7328  1 O 1.92
11 Li 0.8774 0.8774 0.9029  1 O 1.89
12 Li 0.9601 0.3769 0.9926  1 O 1.92
13 Fe 0.1017 0.1326 0.7235  5 O 1.92-2.12
14 Fe 0.1508 0.6273 0.7789  6 O 1.95-2.11
15 Fe 0.3734 0.6266 0.0000  6 O 1.98-2.01
16 Fe 0.3727 0.8492 0.2211  6 O 1.95-2.11
17 Fe 0.5958 0.4042 0.0000  6 O 1.95-2.14
18 Fe 0.6523 0.3477 0.5000  6 O 1.95-2.16
19 Fe 0.8674 0.8983 0.2765  5 O 1.92-2.12
20 Fe 0.8749 0.1251 0.5000  6 O 2.00-2.01
21 P 0.0730 0.6984 0.0971  4 O 1.52-1.59
22 P 0.1725 0.0499 0.4010  4 O 1.53-1.58
23 P 0.2759 0.3284 0.9269  4 O 1.53-1.60
24 P 0.3016 0.9270 0.9029  4 O 1.52-1.59
25 P 0.4493 0.5293 0.3018  4 O 1.53-1.58
26 P 0.4707 0.5507 0.6982  4 O 1.53-1.58
27 P 0.5730 0.0289 0.4224  4 O 1.53-1.58
28 P 0.6716 0.7241 0.0731  4 O 1.53-1.60
29 P 0.7829 0.1976 0.8006  4 O 1.53-1.59
30 P 0.8024 0.2171 0.1994  4 O 1.53-1.59
31 P 0.9501 0.8275 0.5990  4 O 1.53-1.58
32 P 0.9711 0.4270 0.5776  4 O 1.53-1.58
33 O 0.0017 0.2665 0.5809  1 P 1.58
34 O 0.0043 0.8389 0.1467  1 P 1.56
35 O 0.0125 0.0434 0.3715  1 P 1.58
36 O 0.0131 0.4948 0.7210  1 P 1.56
37 O 0.0344 0.6878 0.9397  1 P 1.56
38 O 0.0349 0.5776 0.1756  1 P 1.52
39 O 0.0560 0.4722 0.4638  1 P 1.53
40 O 0.0926 0.7598 0.6431  1 P 1.55
41 O 0.1611 0.9957 0.8533  1 P 1.56
42 O 0.1878 0.2860 0.0395  1 P 1.53
43 O 0.2099 0.0666 0.5581  1 P 1.56
44 O 0.2172 0.1661 0.3189  1 P 1.53
45 O 0.2308 0.2673 0.7823  1 P 1.55
46 O 0.2340 0.7104 0.1264  1 P 1.59
47 O 0.2402 0.9074 0.3569  1 P 1.55
48 O 0.2454 0.4901 0.9198  1 P 1.60
49 O 0.2896 0.7660 0.8736  1 P 1.59
50 O 0.3122 0.9656 0.0603  1 P 1.56
51 O 0.3132 0.5674 0.6618  1 P 1.56
52 O 0.3351 0.4442 0.3462  1 P 1.53
53 O 0.4224 0.9651 0.8244  1 P 1.52
54 O 0.4308 0.2933 0.9551  1 P 1.54
55 O 0.4326 0.6868 0.3382  1 P 1.56
56 O 0.4574 0.5016 0.1421  1 P 1.58
57 O 0.4984 0.5426 0.8579  1 P 1.58
58 O 0.5052 0.9869 0.2790  1 P 1.56
59 O 0.5099 0.7546 0.0802  1 P 1.60
60 O 0.5131 0.4085 0.6283  1 P 1.56
61 O 0.5278 0.9440 0.5362  1 P 1.53
62 O 0.5375 0.1867 0.4372  1 P 1.56
63 O 0.5558 0.6649 0.6538  1 P 1.53
64 O 0.5915 0.4869 0.3717  1 P 1.56
65 O 0.6633 0.2712 0.1322  1 P 1.55
66 O 0.7067 0.5692 0.0449  1 P 1.54
67 O 0.7140 0.8122 0.9605  1 P 1.53
68 O 0.7213 0.0697 0.8482  1 P 1.53
69 O 0.7288 0.3367 0.8678  1 P 1.55
70 O 0.7327 0.7692 0.2177  1 P 1.55
71 O 0.7335 0.9983 0.4191  1 P 1.58
72 O 0.7476 0.2042 0.6406  1 P 1.59
73 O 0.7958 0.2524 0.3594  1 P 1.59
74 O 0.8053 0.0591 0.1646  1 P 1.56
75 O 0.8133 0.4625 0.5628  1 P 1.56
76 O 0.8339 0.7828 0.6811  1 P 1.53
77 O 0.9303 0.2787 0.1518  1 P 1.53
78 O 0.9334 0.7901 0.4419  1 P 1.56
79 O 0.9409 0.1947 0.8354  1 P 1.56
80 O 0.9566 0.9875 0.6285  1 P 1.58

three | Computed, not measured: crystalline Li3Fe2P3O12 at its relaxed geometry at the PBE+U level of DFT.

Summary:
spin magnetization: 10.0 μB per formula unit
ρ: 2.72 g cm⁻³

Lattice parameters (Å, degrees): 9.1642 9.1642 16.3030 114.74 114.74 57.80
Closest atoms and distances in Å follow each position.
Fractional positions:
1 Li 0.0000 0.0000 0.0000  2 O 1.92
2 Li 0.0850 0.4945 0.9029  3 O 2.00-2.01
3 Li 0.2039 0.0559 0.8046  2 O 1.95-1.97
4 Li 0.2986 0.2793 0.4015  3 O 1.99-2.01
5 Li 0.3999 0.5927 0.7453  2 O 2.17-2.20
6 Li 0.4073 0.6001 0.2547  2 O 2.17-2.20
7 Li 0.5055 0.9150 0.0971  3 O 2.00-2.01
8 Li 0.6008 0.1425 0.6953  2 O 1.95-1.96
9 Li 0.7207 0.7014 0.5985  3 O 1.99-2.01
10 Li 0.8094 0.1906 0.5000  2 O 1.94
11 Li 0.8575 0.3992 0.3047  2 O 1.95-1.96
12 Li 0.9441 0.7961 0.1954  2 O 1.95-1.97
13 Fe 0.0490 0.7583 0.5826  5 O 1.91-2.03
14 Fe 0.1596 0.3553 0.2213  6 O 1.97-2.18
15 Fe 0.1610 0.3556 0.7222  6 O 1.97-2.18
16 Fe 0.2417 0.9510 0.4174  5 O 1.91-2.03
17 Fe 0.5622 0.2465 0.0823  5 O 1.91-2.03
18 Fe 0.6444 0.8390 0.2778  6 O 1.97-2.18
19 Fe 0.6447 0.8404 0.7787  6 O 1.97-2.18
20 Fe 0.7535 0.4378 0.9177  5 O 1.91-2.03
21 P 0.0292 0.7855 0.7785  4 O 1.51-1.58
22 P 0.0653 0.7043 0.3769  4 O 1.53-1.55
23 P 0.1429 0.3785 0.0584  4 O 1.55-1.56
24 P 0.1867 0.3398 0.5603  4 O 1.54-1.56
25 P 0.2145 0.9708 0.2215  4 O 1.51-1.58
26 P 0.2957 0.9347 0.6231  4 O 1.53-1.55
27 P 0.5089 0.2606 0.8773  4 O 1.52-1.56
28 P 0.5924 0.2226 0.2781  4 O 1.51-1.58
29 P 0.6215 0.8571 0.9416  4 O 1.55-1.56
30 P 0.6602 0.8133 0.4397  4 O 1.54-1.56
31 P 0.7394 0.4911 0.1227  4 O 1.52-1.56
32 P 0.7774 0.4076 0.7219  4 O 1.51-1.58
33 O 0.0035 0.8047 0.4673  1 P 1.53
34 O 0.0120 0.3957 0.9599  1 P 1.56
35 O 0.0198 0.3892 0.5881  1 P 1.56
36 O 0.0400 0.8740 0.7175  1 P 1.58
37 O 0.0503 0.8911 0.8796  1 P 1.51
38 O 0.0715 0.5389 0.1404  1 P 1.56
39 O 0.1089 0.9497 0.1204  1 P 1.51
40 O 0.1260 0.9600 0.2825  1 P 1.58
41 O 0.1313 0.5003 0.3551  1 P 1.55
42 O 0.1800 0.5044 0.5517  1 P 1.54
43 O 0.1804 0.5926 0.7653  1 P 1.55
44 O 0.1922 0.2124 0.0869  1 P 1.56
45 O 0.1953 0.9965 0.5327  1 P 1.53
46 O 0.2043 0.2085 0.4617  1 P 1.56
47 O 0.2174 0.7307 0.3758  1 P 1.54
48 O 0.2182 0.0990 0.7012  1 P 1.55
49 O 0.2306 0.1528 0.2669  1 P 1.58
50 O 0.2693 0.7827 0.6242  1 P 1.54
51 O 0.3047 0.3264 0.8555  1 P 1.55
52 O 0.3083 0.3772 0.0522  1 P 1.55
53 O 0.3465 0.2688 0.6424  1 P 1.56
54 O 0.3974 0.3748 0.2661  1 P 1.57
55 O 0.4074 0.8196 0.2347  1 P 1.55
56 O 0.4611 0.9285 0.8596  1 P 1.56
57 O 0.4956 0.8200 0.4483  1 P 1.54
58 O 0.4997 0.8687 0.6449  1 P 1.55
59 O 0.5338 0.4135 0.8764  1 P 1.54
60 O 0.5757 0.0408 0.2319  1 P 1.58
61 O 0.5865 0.4662 0.1236  1 P 1.54
62 O 0.5881 0.0966 0.7985  1 P 1.56
63 O 0.6043 0.9880 0.0401  1 P 1.56
64 O 0.6091 0.1996 0.9670  1 P 1.52
65 O 0.6108 0.9802 0.4119  1 P 1.56
66 O 0.6228 0.6917 0.9478  1 P 1.55
67 O 0.6252 0.6026 0.7339  1 P 1.57
68 O 0.6736 0.6953 0.1445  1 P 1.55
69 O 0.6782 0.2361 0.2167  1 P 1.58
70 O 0.7018 0.2406 0.3783  1 P 1.51
71 O 0.7312 0.6535 0.3576  1 P 1.56
72 O 0.7594 0.2982 0.6217  1 P 1.51
73 O 0.7639 0.3218 0.7833  1 P 1.58
74 O 0.7876 0.8078 0.9131  1 P 1.56
75 O 0.7915 0.7957 0.5383  1 P 1.56
76 O 0.8004 0.3909 0.0330  1 P 1.52
77 O 0.8472 0.7694 0.7331  1 P 1.58
78 O 0.9010 0.7818 0.2988  1 P 1.55
79 O 0.9034 0.4119 0.2015  1 P 1.56
80 O 0.9592 0.4243 0.7681  1 P 1.58

Stability summary - winner: one; margin: 49 meV per atom.